The following is a DFT calculation (GGA+U) of a geometry-optimized SrLaMgMnRuO6 structure.

Its crystal system is triclinic. The formation enthalpy at 0 K is -2448 meV per atom. Its space-group type is P1, No. 1.

CIF file:
```
data_SrLaMgMnRuO6
_chemical_formula_sum 'Sr1 La1 Mg1 Mn1 Ru1 O6'
_space_group_name_H-M_alt 'P 1'
_space_group_IT_number 1
_cell_length_a 6.3761
_cell_length_b 6.4525
_cell_length_c 6.6296
_cell_angle_alpha 51.74
_cell_angle_beta 50.57
_cell_angle_gamma 52.81
loop_
_space_group_symop_operation_xyz
'x,y,z'
loop_
_atom_site_label
_atom_site_fract_x
_atom_site_fract_y
_atom_site_fract_z
Mn1 0.3586 0.3761 0.3928
O1 0.0383 0.7791 0.4077
Ru1 0.0089 0.0100 0.0105
O2 0.2562 0.6407 0.9284
O3 0.7733 0.3957 0.0649
O4 0.4047 0.0746 0.7770
Sr1 0.1841 0.1954 0.1864
La1 0.8402 0.8313 0.8394
O5 0.6313 0.9151 0.2537
Mg1 0.6653 0.6497 0.6317
O6 0.9581 0.2513 0.6266
```